VASP calculation (PBE) on a relaxed KIn2Au4 crystal.

Cell: 7.5764 7.5764 7.5764 Å, 108.77 108.77 110.88°
Atoms (fractional coordinates):
K: 0.7500 0.7500 0.0000
K: 0.2500 0.2500 0.0000
In: 0.8533 0.3533 0.2067
In: 0.3533 0.1467 0.5000
In: 0.6467 0.8533 0.5000
In: 0.1467 0.6467 0.7933
Au: 0.6849 0.4849 0.5000
Au: 0.4849 0.9849 0.8001
Au: 0.9849 0.1849 0.5000
Au: 0.1849 0.6849 0.1999
Au: 0.5151 0.0151 0.1999
Au: 0.0151 0.8151 0.5000
Au: 0.3151 0.5151 0.5000
Au: 0.8151 0.3151 0.8001

Output
The space group is I4/mcm. As for the calculated formation energy: -2.02 eV per formula unit. For the density, the calculation gives 10486 kg/m³.

***

VASP calculation (PBE) on a relaxed KRbIn4Au8 crystal.

Cell: 7.6654 7.6654 7.6654 Å, 106.96 106.96 114.62°
Atoms (fractional coordinates):
K: 0.0000 0.0000 0.0000
Rb: 0.5000 0.5000 0.0000
In: 0.8912 0.3912 0.7824
In: 0.6088 0.1088 0.2176
In: 0.1088 0.8912 0.5000
In: 0.3912 0.6088 0.5000
Au: 0.5698 0.0673 0.8054
Au: 0.2619 0.7643 0.1946
Au: 0.7643 0.5698 0.5024
Au: 0.0673 0.2619 0.4976
Au: 0.9327 0.4302 0.1946
Au: 0.2357 0.7381 0.8054
Au: 0.7381 0.9327 0.5024
Au: 0.4302 0.2357 0.4976

Output
The space group is I422. As for the calculated formation energy: -3.81 eV per formula unit. For the density, the calculation gives 10406 kg/m³.

***

VASP calculation (PBE) on a relaxed LaInAu crystal.

Cell: 7.9023 7.9023 4.3196 Å, 90.00 90.00 120.00°
Atoms (fractional coordinates):
La: 0.5859 0.0000 0.5000
La: 0.4141 0.4141 0.5000
La: 0.0000 0.5859 0.5000
In: 0.0000 0.2480 0.0000
In: 0.7520 0.7520 0.0000
In: 0.2480 0.0000 0.0000
Au: 0.6667 0.3333 0.0000
Au: 0.3333 0.6667 0.0000
Au: 0.0000 0.0000 0.5000

Output
The space group is P-62m. As for the calculated formation energy: -2.26 eV per formula unit. For the density, the calculation gives 9611 kg/m³.

***

VASP calculation (PBE) on a relaxed LiInAu2 crystal.

Cell: 4.6906 4.6906 4.6906 Å, 60.00 60.00 60.00°
Atoms (fractional coordinates):
Li: 0.0000 0.0000 0.0000
In: 0.5000 0.5000 0.5000
Au: 0.7500 0.7500 0.7500
Au: 0.2500 0.2500 0.2500

Output
The space group is Fm-3m. As for the calculated formation energy: -1.63 eV per formula unit. For the density, the calculation gives 11735 kg/m³.

***

VASP calculation (PBE) on a relaxed Li2InAu crystal.

Cell: 4.6319 4.6319 4.6319 Å, 60.00 60.00 60.00°
Atoms (fractional coordinates):
Li: 0.7500 0.7500 0.7500
Li: 0.5000 0.5000 0.5000
In: 0.0000 0.0000 0.0000
Au: 0.2500 0.2500 0.2500

Output
The space group is F-43m. As for the calculated formation energy: -1.90 eV per formula unit. For the density, the calculation gives 7696 kg/m³.

***

VASP calculation (PBE) on a relaxed LuInAu2 crystal.

Cell: 4.9021 4.9021 4.9021 Å, 60.00 60.00 60.00°
Atoms (fractional coordinates):
Lu: 0.5000 0.5000 0.5000
In: 0.0000 0.0000 0.0000
Au: 0.7500 0.7500 0.7500
Au: 0.2500 0.2500 0.2500

Output
The space group is Fm-3m. As for the calculated formation energy: -2.74 eV per formula unit. For the density, the calculation gives 13630 kg/m³.

***

no.,total DFT energy (no corrections) (eV/cell)
1,-43.5
2,-43.1
3,-39.7
4,-12.8
5,-11.7
6,-16.6